No. 1
# Ca9LaTi6Mn4O30

An optimized crystal structure of Ca9LaTi6Mn4O30 (PBE+U, Materials Project).

Lattice parameters (Å, degrees): 5.4138 5.4692 38.4201 90.06 90.05 90.08
Last column: nearest neighbours and their distance in Å.
Positions (direct):
Ca: 0.0000 0.0000 0.0000  6 O 2.36-2.58
Ca: 0.9999 0.0000 0.1996  6 O 2.36-2.58
Ca: 0.9998 0.9990 0.5978  6 O 2.37-2.57
Ca: 0.0011 0.9980 0.3997  6 O 2.35-2.58
Ca: 0.0172 0.9198 0.6961  7 O 2.36-2.63
Ca: 0.0190 0.9211 0.8996  6 O 2.35-2.54
Ca: 0.0191 0.9238 0.5009  6 O 2.37-2.59
Ca: 0.0204 0.9217 0.2982  6 O 2.36-2.59
Ca: 0.0205 0.9215 0.0984  6 O 2.36-2.57
Ca: 0.4981 0.4248 0.0985  6 O 2.35-2.57
Ca: 0.4980 0.4246 0.2983  6 O 2.35-2.58
Ca: 0.4975 0.4283 0.6973  6 O 2.34-2.62
Ca: 0.4988 0.4257 0.8988  6 O 2.34-2.57
Ca: 0.5213 0.4963 0.3988  6 O 2.35-2.56
Ca: 0.5225 0.4936 0.7981  6 O 2.35-2.56
Ca: 0.5224 0.4969 0.9997  6 O 2.35-2.60
Ca: 0.5224 0.4970 0.1995  6 O 2.35-2.57
Ca: 0.5224 0.4972 0.5991  6 O 2.35-2.55
La: 0.0066 0.9903 0.7980  6 O 2.40-2.59
La: 0.5044 0.4352 0.5009  6 O 2.39-2.62
Ti: 0.0077 0.4609 0.9488  6 O 1.94-2.01
Ti: 0.0103 0.4608 0.1489  6 O 1.97-1.99
Ti: 0.0114 0.4596 0.3492  6 O 1.96-2.00
Ti: 0.5080 0.9595 0.7461  6 O 1.88-2.05
Ti: 0.5078 0.9608 0.9498  6 O 1.94-2.02
Ti: 0.5095 0.9609 0.2487  6 O 1.96-1.98
Ti: 0.5094 0.9636 0.6472  6 O 1.91-2.02
Ti: 0.5101 0.9591 0.8502  6 O 1.91-2.00
Ti: 0.5097 0.9598 0.4484  6 O 1.93-2.00
Ti: 0.5102 0.9610 0.1491  6 O 1.97-1.98
Ti: 0.5111 0.9607 0.0494  6 O 1.95-1.99
Ti: 0.5119 0.9605 0.3485  6 O 1.95-2.01
Mn: 0.0073 0.4607 0.7474  6 O 1.95-2.06
Mn: 0.0102 0.4605 0.5505  6 O 1.93-2.04
Mn: 0.0100 0.4604 0.8492  6 O 1.95-1.99
Mn: 0.0098 0.4610 0.2490  6 O 1.95-1.96
Mn: 0.0099 0.4613 0.6485  6 O 1.95-1.96
Mn: 0.0107 0.4602 0.4489  6 O 1.93-1.97
Mn: 0.0107 0.4607 0.0488  6 O 1.95-1.96
Mn: 0.5094 0.9604 0.5498  6 O 1.92-1.98
O: 0.0902 0.4519 0.7996  2 Mn 1.96-2.06
O: 0.0910 0.4411 0.3988  1 Ti 1.96, 1 Mn 1.97
O: 0.0912 0.4430 0.1994  1 Mn 1.96, 1 Ti 1.99
O: 0.0918 0.4436 0.9996  1 Mn 1.95, 1 Ti 2.01
O: 0.0927 0.4401 0.5993  2 Mn 1.93-1.95
O: 0.2239 0.1790 0.7408  1 Mn 1.95, 1 Ti 1.96
O: 0.2246 0.1800 0.8568  1 Mn 1.95, 1 Ti 1.98
O: 0.2260 0.1755 0.3406  2 Ti 1.97
O: 0.2259 0.1769 0.1405  2 Ti 1.97
O: 0.2268 0.1815 0.0573  1 Mn 1.95, 1 Ti 1.98
O: 0.2267 0.1822 0.2574  1 Mn 1.95, 1 Ti 1.98
O: 0.2284 0.1829 0.4577  1 Mn 1.95, 1 Ti 1.99
O: 0.2285 0.1782 0.9404  2 Ti 1.96-1.98
O: 0.2294 0.1819 0.6569  1 Mn 1.96, 1 Ti 1.97
O: 0.2309 0.1806 0.5406  2 Mn 1.96-1.98
O: 0.2845 0.6808 0.4569  1 Mn 1.93, 1 Ti 1.98
O: 0.2854 0.6828 0.7406  1 Ti 1.94, 1 Mn 1.95
O: 0.2854 0.6832 0.8571  1 Mn 1.95, 1 Ti 1.96
O: 0.2865 0.6848 0.5416  2 Mn 1.95-1.96
O: 0.2886 0.6790 0.2576  1 Mn 1.95, 1 Ti 1.98
O: 0.2896 0.6786 0.0575  1 Mn 1.95, 1 Ti 1.98
O: 0.2916 0.6800 0.6569  1 Mn 1.96, 1 Ti 1.98
O: 0.2947 0.6770 0.1405  2 Ti 1.97
O: 0.2958 0.6761 0.3407  2 Ti 1.97
O: 0.2972 0.6783 0.9402  2 Ti 1.95-1.99
O: 0.4317 0.9434 0.9990  2 Ti 1.94-1.99
O: 0.4317 0.9436 0.1991  2 Ti 1.96-1.97
O: 0.4324 0.9441 0.3995  2 Ti 1.93-2.01
O: 0.4337 0.9458 0.5987  1 Ti 1.91, 1 Mn 1.92
O: 0.4482 0.9484 0.7989  2 Ti 2.00-2.05
O: 0.5827 0.9676 0.4995  1 Mn 1.98, 1 Ti 2.00
O: 0.5858 0.9790 0.6986  2 Ti 1.88-2.02
O: 0.5885 0.9779 0.2989  2 Ti 1.95-1.98
O: 0.5889 0.9783 0.0988  2 Ti 1.95-1.98
O: 0.5898 0.9811 0.8986  2 Ti 1.91-2.02
O: 0.7240 0.2433 0.5570  2 Mn 1.95-1.97
O: 0.7255 0.2440 0.3576  2 Ti 1.96-1.97
O: 0.7255 0.2449 0.1574  2 Ti 1.97
O: 0.7267 0.2456 0.9575  2 Ti 1.95-1.98
O: 0.7297 0.2428 0.4413  1 Mn 1.95, 1 Ti 1.97
O: 0.7313 0.2426 0.0403  1 Mn 1.95, 1 Ti 1.98
O: 0.7310 0.2432 0.2404  1 Mn 1.95, 1 Ti 1.98
O: 0.7308 0.2431 0.6405  1 Mn 1.95, 1 Ti 1.96
O: 0.7323 0.2407 0.7572  1 Mn 1.95, 1 Ti 2.00
O: 0.7331 0.2421 0.8400  1 Mn 1.95, 1 Ti 2.00
O: 0.7860 0.7388 0.5570  2 Mn 1.95-1.96
O: 0.7874 0.7366 0.7562  1 Mn 1.95, 1 Ti 1.98
O: 0.7878 0.7355 0.4411  1 Mn 1.95, 1 Ti 1.96
O: 0.7891 0.7369 0.8411  1 Mn 1.95, 1 Ti 1.97
O: 0.7932 0.7396 0.0405  1 Mn 1.96, 1 Ti 1.98
O: 0.7934 0.7397 0.2406  1 Mn 1.95, 1 Ti 1.98
O: 0.7945 0.7450 0.1574  2 Ti 1.97
O: 0.7955 0.7426 0.6406  1 Mn 1.95, 1 Ti 1.98
O: 0.7945 0.7446 0.3576  2 Ti 1.97-1.98
O: 0.7970 0.7478 0.9573  2 Ti 1.97
O: 0.9266 0.4796 0.6978  2 Mn 1.95-1.96
O: 0.9279 0.4787 0.8996  1 Ti 1.94, 1 Mn 1.99
O: 0.9294 0.4785 0.2984  1 Mn 1.95, 1 Ti 2.00
O: 0.9289 0.4789 0.0985  1 Mn 1.96, 1 Ti 1.99
O: 0.9433 0.4767 0.4983  2 Mn 1.94-2.04

## Properties
SG: P1 (1)
Raw total energy (eV per formula unit): -387.36



No. 2
# LiV2F7

An optimized crystal structure of LiV2F7 (PBE+U, Materials Project).

Lattice parameters (Å, degrees): 5.5509 5.1915 10.3072 90.00 100.22 90.00
Last column: nearest neighbours and their distance in Å.
Positions (direct):
Li: 0.0000 0.0600 0.2500  2 F 1.84
Li: 0.0000 0.9400 0.7500  2 F 1.84
V: 0.4292 0.2494 0.5734  6 F 1.87-2.09
V: 0.4292 0.7506 0.0734  6 F 1.87-2.09
V: 0.5708 0.2494 0.9266  6 F 1.87-2.09
V: 0.5708 0.7506 0.4266  6 F 1.87-2.09
F: 0.1665 0.0869 0.6300  1 Li 1.84, 1 V 1.87
F: 0.1665 0.9131 0.1300  1 Li 1.84, 1 V 1.87
F: 0.2823 0.4411 0.9836  2 V 1.96-2.06
F: 0.2823 0.5589 0.4836  2 V 1.96-2.06
F: 0.3462 0.0519 0.3944  2 V 1.99-2.09, 1 Li 2.21
F: 0.3462 0.9481 0.8944  2 V 1.99-2.09, 1 Li 2.21
F: 0.5000 0.4208 0.7500  2 V 2.00
F: 0.5000 0.5792 0.2500  2 V 2.00
F: 0.6538 0.0519 0.1056  2 V 1.99-2.09, 1 Li 2.21
F: 0.6538 0.9481 0.6056  2 V 1.99-2.09, 1 Li 2.21
F: 0.7177 0.4411 0.5164  2 V 1.96-2.06
F: 0.7177 0.5589 0.0164  2 V 1.96-2.06
F: 0.8335 0.0869 0.8700  1 Li 1.84, 1 V 1.87
F: 0.8335 0.9131 0.3700  1 Li 1.84, 1 V 1.87

## Properties
SG: P2/c (13)
Raw total energy (eV per formula unit): -58.25



No. 3
# BaMg14VO16

An optimized crystal structure of BaMg14VO16 (PBE+U, Materials Project).

Lattice parameters (Å, degrees): 8.7545 8.7545 4.5023 90.00 90.00 90.00
Last column: nearest neighbours and their distance in Å.
Positions (direct):
Ba: 0.0000 0.0000 0.0000  6 O 2.25-2.45
Mg: 0.0000 0.2645 0.5000  5 O 2.06-2.26
Mg: 0.0000 0.5000 0.0000  2 O 1.92
Mg: 0.0000 0.7355 0.5000  5 O 2.06-2.26
Mg: 0.2510 0.5000 0.5000  6 O 2.18-2.25
Mg: 0.2581 0.2581 0.0000  6 O 2.12-2.27
Mg: 0.2581 0.7419 0.0000  6 O 2.12-2.27
Mg: 0.2645 0.0000 0.5000  5 O 2.06-2.26
Mg: 0.5000 0.0000 0.0000  2 O 1.92
Mg: 0.5000 0.2510 0.5000  6 O 2.18-2.25
Mg: 0.5000 0.7490 0.5000  6 O 2.18-2.25
Mg: 0.7355 0.0000 0.5000  5 O 2.06-2.26
Mg: 0.7419 0.2581 0.0000  6 O 2.12-2.27
Mg: 0.7419 0.7419 0.0000  6 O 2.12-2.27
Mg: 0.7490 0.5000 0.5000  6 O 2.18-2.25
V: 0.5000 0.5000 0.0000  6 O 2.18-2.25
O: 0.0000 0.0000 0.5000  2 Ba 2.25, 4 Mg 2.32
O: 0.0000 0.2804 0.0000  1 Mg 1.92
O: 0.0000 0.5000 0.5000  6 Mg 2.06-2.25
O: 0.0000 0.7196 0.0000  1 Mg 1.92
O: 0.2508 0.2508 0.5000  6 Mg 2.18-2.25
O: 0.2510 0.5000 0.0000  5 Mg 2.12-2.25, 1 V 2.18
O: 0.2508 0.7492 0.5000  6 Mg 2.18-2.25
O: 0.2804 0.0000 0.0000  1 Mg 1.92
O: 0.5000 0.0000 0.5000  6 Mg 2.06-2.25
O: 0.5000 0.2510 0.0000  5 Mg 2.12-2.25, 1 V 2.18
O: 0.5000 0.5000 0.5000  4 Mg 2.18, 2 V 2.25
O: 0.5000 0.7490 0.0000  5 Mg 2.12-2.25, 1 V 2.18
O: 0.7196 0.0000 0.0000  1 Mg 1.92
O: 0.7492 0.2508 0.5000  6 Mg 2.18-2.25
O: 0.7490 0.5000 0.0000  5 Mg 2.12-2.25, 1 V 2.18
O: 0.7492 0.7492 0.5000  6 Mg 2.18-2.25

## Properties
SG: P4/mmm (123)
Raw total energy (eV per formula unit): -189.33



| no. | calculated formation energy (meV/atom) |
| --- | --- |
| 1 | -3184 |
| 2 | -3140 |
| 3 | -2795 |